Entry 1:
# SmNiGe2, relaxed, DFT meta-GGA r2SCAN
data_SmNiGe2
_symmetry_space_group_name_H-M 'C m c m'
_symmetry_Int_Tables_number 63
_symmetry_space_group_name_Hall '-C 2c 2'
_cell_length_a 4.1914
_cell_length_b 16.6243
_cell_length_c 4.1567
_cell_angle_alpha 90.00
_cell_angle_beta 90.00
_cell_angle_gamma 90.00
loop_
_atom_site_label
_atom_site_type_symbol
_atom_site_fract_x
_atom_site_fract_y
_atom_site_fract_z
_atom_site_occupancy
Sm1 Sm 0.0000 0.1084 0.2500 1
Ni1 Ni 0.0000 0.3188 0.2500 1
Ge1 Ge 0.0000 0.2503 0.7500 1
Ge2 Ge 0.0000 0.4573 0.2500 1
# E_tot   -290.42 eV for the cell shown
# Magnetic moment   0.0 μB per formula unit

Entry 2:
# SrNiGe2, relaxed, DFT meta-GGA r2SCAN
data_SrNiGe2
_symmetry_space_group_name_H-M 'C m c m'
_symmetry_Int_Tables_number 63
_symmetry_space_group_name_Hall '-C 2c 2'
_cell_length_a 4.4024
_cell_length_b 17.1635
_cell_length_c 4.1773
_cell_angle_alpha 90.00
_cell_angle_beta 90.00
_cell_angle_gamma 90.00
loop_
_atom_site_label
_atom_site_type_symbol
_atom_site_fract_x
_atom_site_fract_y
_atom_site_fract_z
_atom_site_occupancy
Sr1 Sr 0.0000 0.1076 0.2500 1
Ni1 Ni 0.0000 0.3177 0.2500 1
Ge1 Ge 0.0000 0.2508 0.7500 1
Ge2 Ge 0.0000 0.4565 0.2500 1
# E_tot   -228.12 eV for the cell shown
# Magnetic moment   0.0 μB per formula unit

Entry 3:
# SrNi2Ge, relaxed, DFT meta-GGA r2SCAN
data_SrNi2Ge
_symmetry_space_group_name_H-M 'P 63/m m c'
_symmetry_Int_Tables_number 194
_symmetry_space_group_name_Hall '-P 6c 2c'
_cell_length_a 4.0878
_cell_length_b 4.0878
_cell_length_c 10.5271
_cell_angle_alpha 90.00
_cell_angle_beta 90.00
_cell_angle_gamma 120.00
loop_
_atom_site_label
_atom_site_type_symbol
_atom_site_fract_x
_atom_site_fract_y
_atom_site_fract_z
_atom_site_occupancy
Sr1 Sr 0.3333 0.6667 0.2500 1
Ni1 Ni 0.3333 0.6667 0.5335 1
Ge1 Ge 0.0000 0.0000 0.0000 1
# E_tot   -109.19 eV for the cell shown
# Magnetic moment   0.0 μB per formula unit

Entry 4:
# TaNiGe, relaxed, DFT meta-GGA r2SCAN
data_TaNiGe
_symmetry_space_group_name_H-M 'P n m a'
_symmetry_Int_Tables_number 62
_cell_length_a 6.2609
_cell_length_b 3.7518
_cell_length_c 7.1515
_cell_angle_alpha 90.00
_cell_angle_beta 90.00
_cell_angle_gamma 90.00
loop_
_symmetry_equiv_pos_as_xyz
'x,y,z'
'-x,-y,-z'
'-x+1/2,-y,z+1/2'
'x+1/2,y,-z+1/2'
'x+1/2,-y+1/2,-z+1/2'
'-x+1/2,y+1/2,z+1/2'
'-x,y+1/2,-z'
'x,-y+1/2,z'
loop_
_atom_site_label
_atom_site_type_symbol
_atom_site_fract_x
_atom_site_fract_y
_atom_site_fract_z
_atom_site_occupancy
Ta1 Ta 0.0144 0.2500 0.1769 1
Ni1 Ni 0.1636 0.2500 0.5741 1
Ge1 Ge 0.2145 0.7500 0.3870 1
# E_tot   -303.12 eV for the cell shown
# Magnetic moment   0.0 μB per formula unit

Entry 5:
# ThNiGe2, relaxed, DFT meta-GGA r2SCAN
data_ThNiGe2
_symmetry_space_group_name_H-M 'C m c m'
_symmetry_Int_Tables_number 63
_symmetry_space_group_name_Hall '-C 2c 2'
_cell_length_a 4.2397
_cell_length_b 16.5414
_cell_length_c 4.2500
_cell_angle_alpha 90.00
_cell_angle_beta 90.00
_cell_angle_gamma 90.00
loop_
_atom_site_label
_atom_site_type_symbol
_atom_site_fract_x
_atom_site_fract_y
_atom_site_fract_z
_atom_site_occupancy
Th1 Th 0.0000 0.1081 0.2500 1
Ni1 Ni 0.0000 0.3183 0.2500 1
Ge1 Ge 0.0000 0.2492 0.7500 1
Ge2 Ge 0.0000 0.4588 0.2500 1
# E_tot   -464.92 eV for the cell shown
# Magnetic moment   0.0 μB per formula unit

Entry 6:
# TmNiGe3, relaxed, DFT meta-GGA r2SCAN
data_TmNiGe3
_symmetry_space_group_name_H-M 'C m m m'
_symmetry_Int_Tables_number 65
_symmetry_space_group_name_Hall '-C 2 2'
_cell_length_a 4.0353
_cell_length_b 21.3961
_cell_length_c 4.0405
_cell_angle_alpha 90.00
_cell_angle_beta 90.00
_cell_angle_gamma 90.00
loop_
_atom_site_label
_atom_site_type_symbol
_atom_site_fract_x
_atom_site_fract_y
_atom_site_fract_z
_atom_site_occupancy
Tm1 Tm 0.0000 0.1684 0.0000 1
Ni1 Ni 0.0000 0.3890 0.5000 1
Ge1 Ge 0.0000 0.0576 0.5000 1
Ge2 Ge 0.0000 0.2835 0.5000 1
Ge3 Ge 0.0000 0.4425 0.0000 1
# E_tot   -366.32 eV for the cell shown
# Magnetic moment   0.0 μB per formula unit